# Sm6Th4O17

A geometry-optimized Sm6Th4O17 structure (PBE-GGA, the Materials Project).

Unit cell a=3.905 b=3.905 c=39.884 alpha=60.69 beta=60.69 gamma=60.00
Atoms (fractional coordinates):
O  0.784  0.784  0.865
O  0.247  0.247  0.126
O  0.721  0.721  0.784
O  0.248  0.248  0.026
O  0.249  0.249  0.725
O  0.250  0.250  0.325
O  0.245  0.245  0.226
O  0.748  0.748  0.176
O  0.782  0.782  0.465
O  0.718  0.718  0.385
O  0.783  0.783  0.665
O  0.748  0.748  0.276
O  0.248  0.248  0.926
O  0.748  0.748  0.075
O  0.249  0.249  0.525
O  0.749  0.749  0.975
O  0.721  0.721  0.584
Th  0.005  0.005  0.298
Th  0.006  0.006  0.098
Th  0.007  0.007  0.998
Th  0.005  0.005  0.198
Sm  0.009  0.009  0.597
Sm  0.010  0.010  0.797
Sm  0.986  0.986  0.504
Sm  0.986  0.986  0.704
Sm  0.989  0.989  0.903
Sm  0.007  0.007  0.398

The calculation puts the formation energy from the elements at -386.4 kJ per mole of atoms. The value obtained for the total energy is -238.53 eV per cell. The calculated density is 8.0 g/cm³. Its calculated volume is 434 Å³ per cell.